# LaFe3B4O12

A relaxed LaFe3B4O12 crystal (PBE with a Hubbard U, the Materials Project).

a = 6.1792 Å, b = 6.1792 Å, c = 6.1792 Å
α = 103.67°, β = 103.67°, γ = 103.67°
With the nearest neighbours (Å) after each atom.
Positions (direct):
1 La 0.0000 0.0000 0.0000  6 O 2.46
2 Fe 0.0000 0.4485 0.5515  6 O 1.99-2.09
3 Fe 0.4485 0.5515 0.0000  6 O 1.99-2.09
4 Fe 0.5515 0.0000 0.4485  6 O 1.99-2.09
5 B 0.0547 0.9453 0.5000  3 O 1.38-1.39
6 B 0.5000 0.0547 0.9453  3 O 1.38-1.39
7 B 0.5000 0.5000 0.5000  3 O 1.39
8 B 0.9453 0.5000 0.0547  3 O 1.38-1.39
9 O 0.0290 0.7868 0.6229  1 B 1.38
10 O 0.0887 0.5000 0.9113  1 B 1.39
11 O 0.2132 0.9710 0.3771  1 B 1.38
12 O 0.3567 0.5000 0.6433  1 B 1.39
13 O 0.3771 0.2132 0.9710  1 B 1.38
14 O 0.5000 0.6433 0.3567  1 B 1.39
15 O 0.5000 0.9113 0.0887  1 B 1.39
16 O 0.6229 0.0290 0.7868  1 B 1.38
17 O 0.6433 0.3567 0.5000  1 B 1.39
18 O 0.7868 0.6229 0.0290  1 B 1.38
19 O 0.9113 0.0887 0.5000  1 B 1.39
20 O 0.9710 0.3771 0.2132  1 B 1.38

Computed properties:
formation enthalpy at 0 K	-51.72	eV/f.u.
density	4.2	Mg/m³
corrected total energy (MP2020 scheme)	-168.157	eV/f.u.
total magnetic moment	15.00	μB/cell
uncorrected energy	-153.1	eV for the cell shown

***

# Li2Mn3O6

A relaxed Li2Mn3O6 crystal (PBE with a Hubbard U, the Materials Project).

a = 5.1890 Å, b = 5.1890 Å, c = 10.2507 Å
α = 90.00°, β = 90.00°, γ = 59.91°
With the nearest neighbours (Å) after each atom.
Positions (direct):
1 Li 0.1533 0.3467 0.2500  4 O 2.03-2.07
2 Li 0.3467 0.1533 0.7500  4 O 2.03-2.07
3 Li 0.6533 0.8467 0.2500  4 O 2.03-2.07
4 Li 0.8467 0.6533 0.7500  4 O 2.03-2.07
5 Mn 0.0000 0.0000 0.0000  6 O 1.94-2.14
6 Mn 0.1636 0.1636 0.5000  6 O 1.96-2.08
7 Mn 0.3364 0.3364 0.0000  6 O 1.96-2.08
8 Mn 0.5000 0.5000 0.5000  6 O 1.94-2.14
9 Mn 0.6636 0.6636 0.0000  6 O 1.96-2.08
10 Mn 0.8364 0.8364 0.5000  6 O 1.96-2.08
11 O 0.0221 0.3419 0.8927  3 Mn 1.96-2.14, 2 Li 2.03-2.07
12 O 0.1581 0.4779 0.6073  3 Mn 1.96-2.14, 2 Li 2.03-2.07
13 O 0.1734 0.8266 0.4080  3 Mn 1.94-1.96
14 O 0.3266 0.6734 0.9080  3 Mn 1.94-1.96
15 O 0.3419 0.0221 0.1073  3 Mn 1.96-2.14, 2 Li 2.03-2.07
16 O 0.4779 0.1581 0.3927  3 Mn 1.96-2.14, 2 Li 2.03-2.07
17 O 0.5221 0.8419 0.6073  3 Mn 1.96-2.14, 2 Li 2.03-2.07
18 O 0.6581 0.9779 0.8927  3 Mn 1.96-2.14, 2 Li 2.03-2.07
19 O 0.6734 0.3266 0.0920  3 Mn 1.94-1.96
20 O 0.8266 0.1734 0.5920  3 Mn 1.94-1.96
21 O 0.8419 0.5221 0.3927  3 Mn 1.96-2.14, 2 Li 2.03-2.07
22 O 0.9779 0.6581 0.1073  3 Mn 1.96-2.14, 2 Li 2.03-2.07

Computed properties:
formation enthalpy at 0 K	-22.08	eV/f.u.
density	3.8	Mg/m³
corrected total energy (MP2020 scheme)	-83.075	eV/f.u.
energy above the most stable polymorph in this dataset	0.73	eV per formula unit
total magnetic moment	22.00	μB/cell
uncorrected energy	-147.9	eV for the cell shown

***

# Er2Mo4O15

A relaxed Er2Mo4O15 crystal (PBE with a Hubbard U, the Materials Project).

a = 6.8859 Å, b = 9.6875 Å, c = 10.6702 Å
α = 90.00°, β = 105.23°, γ = 90.00°
With the nearest neighbours (Å) after each atom.
Positions (direct):
1 Er 0.2106 0.0231 0.2760  7 O 2.25-2.36
2 Er 0.2106 0.4769 0.7760  7 O 2.25-2.36
3 Er 0.7894 0.5231 0.2240  7 O 2.25-2.36
4 Er 0.7894 0.9769 0.7240  7 O 2.25-2.36
5 Mo 0.0815 0.7431 0.0109  4 O 1.78-1.82
6 Mo 0.0815 0.7569 0.5109  4 O 1.78-1.82
7 Mo 0.3788 0.0957 0.8436  4 O 1.77-1.90
8 Mo 0.3788 0.4043 0.3436  4 O 1.77-1.90
9 Mo 0.6212 0.5957 0.6564  4 O 1.77-1.90
10 Mo 0.6212 0.9043 0.1564  4 O 1.77-1.90
11 Mo 0.9185 0.2431 0.4891  4 O 1.78-1.82
12 Mo 0.9185 0.2569 0.9891  4 O 1.78-1.82
13 O 0.0242 0.1258 0.3962  1 Mo 1.78
14 O 0.0242 0.3742 0.8962  1 Mo 1.78
15 O 0.1167 0.1662 0.1017  1 Mo 1.79
16 O 0.1167 0.3338 0.6017  1 Mo 1.79
17 O 0.1193 0.0558 0.8160  1 Mo 1.78
18 O 0.1193 0.4442 0.3160  1 Mo 1.78
19 O 0.2215 0.6504 0.9182  1 Mo 1.79
20 O 0.2215 0.8496 0.4182  1 Mo 1.79
21 O 0.2443 0.6347 0.6187  1 Mo 1.82
22 O 0.2443 0.8654 0.1187  1 Mo 1.82
23 O 0.3860 0.2214 0.3522  1 Mo 1.77
24 O 0.3860 0.2786 0.8522  1 Mo 1.77
25 O 0.4486 0.0276 0.7069  1 Mo 1.78
26 O 0.4486 0.4724 0.2069  1 Mo 1.78
27 O 0.5000 0.0000 0.0000  2 Mo 1.90
28 O 0.5000 0.5000 0.5000  2 Mo 1.90
29 O 0.5514 0.5276 0.7931  1 Mo 1.78
30 O 0.5514 0.9724 0.2931  1 Mo 1.78
31 O 0.6140 0.7214 0.1478  1 Mo 1.77
32 O 0.6140 0.7786 0.6478  1 Mo 1.77
33 O 0.7557 0.1346 0.8813  1 Mo 1.82
34 O 0.7557 0.3654 0.3813  1 Mo 1.82
35 O 0.7785 0.1504 0.5818  1 Mo 1.79
36 O 0.7785 0.3496 0.0818  1 Mo 1.79
37 O 0.8807 0.5558 0.6840  1 Mo 1.78
38 O 0.8807 0.9442 0.1840  1 Mo 1.78
39 O 0.8833 0.6662 0.3983  1 Mo 1.79
40 O 0.8833 0.8338 0.8983  1 Mo 1.79
41 O 0.9758 0.6258 0.1038  1 Mo 1.78
42 O 0.9758 0.8742 0.6038  1 Mo 1.78

Computed properties:
formation enthalpy at 0 K	-53.01	eV/f.u.
density	4.6	Mg/m³
corrected total energy (MP2020 scheme)	-179.746	eV/f.u.
uncorrected energy	-313.3	eV for the cell shown

***

# MgFe8O8F8

A relaxed MgFe8O8F8 crystal (PBE with a Hubbard U, the Materials Project).

a = 5.0931 Å, b = 5.3292 Å, c = 11.6754 Å
α = 89.23°, β = 89.60°, γ = 89.39°
With the nearest neighbours (Å) after each atom.
Positions (direct):
1 Mg 0.0000 0.0000 0.0000  3 F 1.98-2.12, 2 O 2.06-2.10
2 Fe 0.0596 0.6100 0.3859  3 O 1.90-1.99, 2 F 1.98-2.05
3 Fe 0.4186 0.0988 0.5062  3 O 1.92-2.00, 2 F 1.99-2.04
4 Fe 0.4922 0.2385 0.0044  3 O 1.91-2.01
5 Fe 0.5470 0.9572 0.2550  3 O 1.93-1.99, 2 F 2.01-2.06
6 Fe 0.5596 0.9692 0.7563  3 O 1.90-1.98, 1 F 2.07
7 Fe 0.9144 0.4539 0.6273  3 O 1.92-1.99, 2 F 1.98-2.02
8 Fe 0.9323 0.4651 0.1464  3 O 1.91-1.96, 2 F 1.97-2.05
9 Fe 0.9622 0.5051 0.8718  2 O 1.98-2.03, 1 F 2.09
10 O 0.1394 0.3599 0.0132  3 Fe 1.91-2.03, 1 Mg 2.06
11 O 0.1661 0.3692 0.5022  3 Fe 1.92-1.99
12 O 0.3038 0.8769 0.3800  3 Fe 1.90-2.00
13 O 0.6689 0.1842 0.6255  3 Fe 1.92-1.98
14 O 0.7286 0.1479 0.8814  2 Fe 1.93-1.96, 1 Mg 2.10
15 O 0.7291 0.1670 0.1379  3 Fe 1.91-2.01
16 O 0.7677 0.6724 0.7459  3 Fe 1.90-1.98
17 O 0.8009 0.6865 0.2629  3 Fe 1.92-1.99
18 F 0.1790 0.3382 0.7406  2 Fe 1.98-2.09
19 F 0.2131 0.3910 0.2580  2 Fe 1.97-2.05
20 F 0.2514 0.8647 0.8786  1 Mg 2.04, 1 Fe 2.19
21 F 0.2772 0.9002 0.1279  1 Fe 2.06, 1 Mg 2.12
22 F 0.2934 0.8726 0.6316  2 Fe 1.99-2.07
23 F 0.6746 0.1875 0.3775  2 Fe 2.01-2.04
24 F 0.7793 0.7006 0.0230  1 Mg 1.98, 1 Fe 2.05
25 F 0.7952 0.6998 0.5044  2 Fe 1.98-2.02

Computed properties:
formation enthalpy at 0 K	-52.19	eV/f.u.
density	3.9	Mg/m³
corrected total energy (MP2020 scheme)	-176.450	eV/f.u.
energy above the most stable polymorph in this dataset	1.06	eV per formula unit
total magnetic moment	38.00	μB/cell
uncorrected energy	-149.2	eV for the cell shown